# 1
Crystalline LaGa at its relaxed geometry, computed with GGA-PBE.

abc: 4.569 11.625 4.249
angles: 90.00 90.00 90.00
Fractional coordinates of all 8 atoms:
La: 0.000 0.140 0.250
La: 0.000 0.860 0.750
La: 0.500 0.360 0.750
La: 0.500 0.640 0.250
Ga: 0.000 0.433 0.250
Ga: 0.000 0.567 0.750
Ga: 0.500 0.067 0.750
Ga: 0.500 0.933 0.250

## Properties
Total energy in eV per atom: -4.574
Energy relative to the elements in meV per atom: -592
SG: Cmcm, No. 63

***

# 2
Crystalline La3Ga at its relaxed geometry, computed with GGA-PBE.

abc: 4.932 4.932 4.932
angles: 90.00 90.00 90.00
Fractional coordinates of all 4 atoms:
La: 0.000 0.000 0.500
La: 0.000 0.500 0.000
La: 0.500 0.000 0.000
Ga: 0.500 0.500 0.500

## Properties
Total energy in eV per atom: -4.721
Energy relative to the elements in meV per atom: -262
SG: Pm-3m, No. 221